Entry from Materials Project: crystalline SrC6 at its relaxed geometry (PBE).

Calculated values
DFT total energy (Ha/atom): -0.3011

abc: 4.3336 4.3336 9.9707
angles: 90.00 90.00 120.00
Space group P6_3/mmc (No. 194)
One atom of each set of equivalent atoms:
Sr 0.3333 0.6667 0.2500 x2
C 0.0000 0.3337 0.0000 x12


Entry from Materials Project: crystalline Na2AlInSiS2O12 at its relaxed geometry (PBE).

Calculated values
DFT total energy (Ha/atom): -0.2295

abc: 8.7958 8.8108 22.4400
angles: 89.37 89.49 60.13
Space group P1 (No. 1)
One atom of each set of equivalent atoms:
Na 0.0000 0.0000 0.0000 x1
Na 0.0002 0.3699 0.5011 x1
Na 0.3291 0.0207 0.9089 x1
Na 0.3328 0.0202 0.4098 x1
Na 0.6110 0.0513 0.8304 x1
Na 0.6131 0.7115 0.3337 x1
Na 0.6528 0.3715 0.7437 x1
Na 0.6606 0.3411 0.2398 x1
Na 0.6775 0.6631 0.6590 x1
Na 0.6800 0.0377 0.1569 x1
Na 0.9733 0.7003 0.0727 x1
Na 0.9781 0.6956 0.5789 x1
Al 0.2938 0.0265 0.7578 x1
Al 0.3169 0.0346 0.0561 x1
Al 0.6282 0.3821 0.8927 x1
Al 0.6502 0.3556 0.0904 x1
Al 0.6627 0.3622 0.5966 x1
Al 0.9713 0.6707 0.7265 x1
In 0.2967 0.0408 0.2542 x1
In 0.3135 0.0275 0.5637 x1
In 0.6359 0.3649 0.3912 x1
In 0.9431 0.7113 0.9244 x1
In 0.9487 0.7177 0.4298 x1
In 0.9752 0.7209 0.2188 x1
Si 0.0131 0.0467 0.1492 x1
Si 0.0161 0.3239 0.6600 x1
Si 0.6232 0.0925 0.9911 x1
Si 0.6315 0.6606 0.4945 x1
Si 0.6597 0.7007 0.8212 x1
Si 0.6635 0.0092 0.3202 x1
S 0.2631 0.4076 0.8235 x1
S 0.2670 0.6996 0.3258 x1
S 0.2965 0.7332 0.6628 x1
S 0.3107 0.3305 0.1518 x1
S 0.3500 0.3700 0.4968 x1
S 0.3606 0.6518 0.9931 x1
S 0.5958 0.7285 0.1522 x1
S 0.6119 0.0368 0.6622 x1
S 0.9242 0.3642 0.9920 x1
S 0.9283 0.0766 0.4968 x1
S 0.9775 0.4063 0.3250 x1
S 0.9775 0.9918 0.8225 x1
O 0.0161 0.8936 0.8805 x1
O 0.0842 0.0730 0.2125 x1
O 0.0980 0.2017 0.9955 x1
O 0.1009 0.0665 0.5003 x1
O 0.1160 0.2586 0.5959 x1
O 0.1275 0.2276 0.3229 x1
O 0.1279 0.1882 0.7130 x1
O 0.1298 0.0187 0.8128 x1
O 0.1415 0.0234 0.0926 x1
O 0.1411 0.7165 0.6766 x1
O 0.1454 0.4990 0.1569 x1
O 0.1614 0.4808 0.8791 x1
O 0.1703 0.7084 0.3807 x1
O 0.1733 0.5247 0.7719 x1
O 0.1764 0.5352 0.4949 x1
O 0.1830 0.6695 0.9891 x1
O 0.1911 0.6729 0.2716 x1
O 0.2585 0.8345 0.6064 x1
O 0.2790 0.8617 0.3228 x1
O 0.2874 0.2290 0.8151 x1
O 0.2908 0.2331 0.1020 x1
O 0.3157 0.2204 0.4989 x1
O 0.3375 0.8318 0.9967 x1
O 0.3391 0.8220 0.7111 x1
O 0.3559 0.2258 0.2080 x1
O 0.4412 0.3448 0.4390 x1
O 0.4417 0.3881 0.8273 x1
O 0.4500 0.3734 0.5482 x1
O 0.4498 0.5465 0.0459 x1
O 0.4499 0.5506 0.3261 x1
O 0.4522 0.0643 0.0010 x1
O 0.4579 0.5581 0.6564 x1
O 0.4617 0.3597 0.1428 x1
O 0.4633 0.5722 0.9378 x1
O 0.4627 0.8569 0.4983 x1
O 0.4687 0.8800 0.8071 x1
O 0.4741 0.0138 0.3175 x1
O 0.4961 0.0662 0.7143 x1
O 0.5008 0.8610 0.1045 x1
O 0.5069 0.7896 0.2109 x1
O 0.5482 0.9835 0.6090 x1
O 0.6081 0.2055 0.9290 x1
O 0.6080 0.5590 0.1406 x1
O 0.6170 0.5849 0.4296 x1
O 0.6190 0.1991 0.6503 x1
O 0.6492 0.5231 0.8368 x1
O 0.6499 0.1982 0.3261 x1
O 0.6538 0.5327 0.5516 x1
O 0.6565 0.1834 0.0484 x1
O 0.7223 0.7713 0.8784 x1
O 0.7463 0.8807 0.3781 x1
O 0.7650 0.9287 0.2569 x1
O 0.7742 0.7094 0.1538 x1
O 0.7924 0.6681 0.7645 x1
O 0.7917 0.8845 0.6719 x1
O 0.8095 0.8990 0.9900 x1
O 0.8105 0.4011 0.3260 x1
O 0.8110 0.2155 0.1452 x1
O 0.8134 0.1651 0.8276 x1
O 0.8142 0.3506 0.6544 x1
O 0.8157 0.1688 0.5484 x1
O 0.8164 0.3904 0.0458 x1
O 0.8200 0.6617 0.4971 x1
O 0.8370 0.3449 0.9382 x1
O 0.8558 0.1702 0.4398 x1
O 0.9498 0.8996 0.4965 x1
O 0.9512 0.5175 0.9890 x1
O 0.9514 0.8950 0.7740 x1
O 0.9630 0.5131 0.2718 x1
O 0.9858 0.5246 0.6684 x1
O 0.9895 0.8702 0.1485 x1
O 0.9985 0.4810 0.3814 x1


Entry from Materials Project: crystalline AgI at its relaxed geometry (PBE).

Calculated values
Piezoelectric modulus e_max (C/m²): 0.26
DFT total energy (Ha/atom): -0.0903

abc: 4.7106 4.7106 7.6137
angles: 90.00 90.00 120.00
Space group P6_3mc (No. 186)
One atom of each set of equivalent atoms:
Ag 0.3333 0.6667 0.0000 x2
I 0.3333 0.6667 0.3795 x2


Entry from Materials Project: crystalline Tm2PbSe4 at its relaxed geometry (PBE).

Calculated values
DFT total energy (Ha/atom): -0.1938

abc: 12.5659 4.0997 14.9612
angles: 90.00 90.00 90.00
Space group Pnma (No. 62)
One atom of each set of equivalent atoms:
Tm 0.0715 0.2500 0.1069 x4
Tm 0.0725 0.2500 0.6003 x4
Pb 0.2286 0.2500 0.3368 x4
Se 0.0057 0.7500 0.7129 x4
Se 0.0810 0.2500 0.9187 x4
Se 0.1341 0.7500 0.4787 x4
Se 0.2170 0.7500 0.1732 x4


Entry from Materials Project: crystalline Na2Sm2MgTi2O8 at its relaxed geometry (PBE).

Calculated values
Energy above the lowest structure with this stoichiometry (eV per atom): 0.1040
DFT total energy (Ha/atom): -0.2634

abc: 3.6290 3.6290 16.8634
angles: 90.00 90.00 90.00
Space group P-4m2 (No. 115)
One atom of each set of equivalent atoms:
Na 0.0000 0.5000 0.0609 x2
Sm 0.0000 0.5000 0.3150 x2
Mg 0.0000 0.0000 0.5000 x1
Ti 0.0000 0.5000 0.8171 x2
O 0.0000 0.0000 0.2173 x2
O 0.0000 0.5000 0.6546 x2
O 0.0000 0.5000 0.9232 x2
O 0.5000 0.5000 0.2172 x2


Entry from Materials Project: crystalline Sr2Ti6N2O11 at its relaxed geometry (PBE).

Calculated values
Energy above the lowest structure with this stoichiometry (eV per atom): 0.0150
DFT total energy (Ha/atom): -0.3153

abc: 15.2132 3.8510 9.3062
angles: 90.00 98.88 90.00
Space group Cm (No. 8)
One atom of each set of equivalent atoms:
Sr 0.0000 0.0000 0.0000 x2
Sr 0.0998 0.0000 0.5346 x2
Ti 0.1671 0.5000 0.8721 x2
Ti 0.2227 0.5000 0.1968 x2
Ti 0.2868 0.5000 0.5303 x2
Ti 0.3135 0.0000 0.0045 x2
Ti 0.3892 0.0000 0.3196 x2
Ti 0.4339 0.0000 0.6749 x2
N 0.1232 0.5000 0.0486 x2
N 0.2624 0.0000 0.1825 x2
O 0.0559 0.5000 0.7486 x2
O 0.1830 0.5000 0.3791 x2
O 0.1966 0.0000 0.8701 x2
O 0.2166 0.5000 0.6634 x2
O 0.3001 0.5000 0.9936 x2
O 0.3151 0.0000 0.5230 x2
O 0.3580 0.5000 0.3358 x2
O 0.4006 0.0000 0.8574 x2
O 0.4156 0.5000 0.6484 x2
O 0.4324 0.0000 0.1450 x2
O 0.4867 0.0000 0.4673 x2


Entry from Materials Project: crystalline Na6CaTi3Si2P4O24 at its relaxed geometry (PBE).

Calculated values
Energy above the lowest structure with this stoichiometry (eV per atom): 0.0043
DFT total energy (Ha/atom): -0.2632

abc: 8.9868 9.0009 22.0815
angles: 89.70 89.80 60.26
Space group P1 (No. 1)
One atom of each set of equivalent atoms:
Na 0.0000 0.0000 0.0000 x1
Na 0.0005 0.0564 0.6652 x1
Na 0.2978 0.7094 0.4926 x1
Na 0.3208 0.0174 0.0794 x1
Na 0.3219 0.0273 0.5767 x1
Na 0.3296 0.6688 0.8381 x1
Na 0.3543 0.3168 0.6656 x1
Na 0.6052 0.6964 0.6676 x1
Na 0.6143 0.3742 0.2467 x1
Na 0.6190 0.0561 0.1611 x1
Na 0.6502 0.3389 0.7550 x1
Na 0.6590 0.7038 0.9933 x1
Na 0.6962 0.6387 0.3339 x1
Na 0.9344 0.0297 0.3338 x1
Na 0.9435 0.3836 0.8385 x1
Na 0.9807 0.6802 0.4147 x1
Na 0.9837 0.6827 0.9190 x1
Na 0.9867 0.3235 0.1641 x1
Ca 0.3184 0.0252 0.7279 x1
Ca 0.6433 0.3535 0.3944 x1
Ca 0.6452 0.3566 0.9039 x1
Ti 0.3088 0.0357 0.4340 x1
Ti 0.3181 0.0331 0.9312 x1
Ti 0.3185 0.0192 0.2218 x1
Ti 0.6543 0.3556 0.5935 x1
Ti 0.6552 0.3577 0.1006 x1
Ti 0.9857 0.6934 0.7687 x1
Ti 0.9872 0.6929 0.5591 x1
Ti 0.9881 0.6822 0.0673 x1
Ti 0.9929 0.6831 0.2643 x1
Si 0.2826 0.4008 0.1658 x1
Si 0.2837 0.6737 0.6625 x1
Si 0.6933 0.6853 0.1663 x1
Si 0.9517 0.0559 0.4926 x1
Si 0.9573 0.3587 0.9962 x1
Si 0.9824 0.9817 0.1644 x1
P 0.0222 0.0133 0.8291 x1
P 0.0411 0.3161 0.3268 x1
P 0.3036 0.7493 0.3300 x1
P 0.3077 0.3291 0.8262 x1
P 0.3474 0.6591 0.9969 x1
P 0.3484 0.3555 0.4994 x1
P 0.6051 0.0135 0.3270 x1
P 0.6211 0.7306 0.8286 x1
P 0.6516 0.6598 0.4944 x1
P 0.6532 0.0491 0.0008 x1
P 0.7107 0.9818 0.6617 x1
P 0.9662 0.4148 0.6634 x1
O 0.0022 0.8684 0.1051 x1
O 0.0213 0.4977 0.3304 x1
O 0.0217 0.8381 0.8313 x1
O 0.0952 0.0267 0.7684 x1
O 0.1272 0.2373 0.6602 x1
O 0.1293 0.4991 0.8313 x1
O 0.1375 0.7353 0.3293 x1
O 0.1391 0.2184 0.2696 x1
O 0.1429 0.1769 0.9876 x1
O 0.1434 0.2115 0.3843 x1
O 0.1441 0.0184 0.1697 x1
O 0.1436 0.0425 0.4919 x1
O 0.1465 0.4994 0.1118 x1
O 0.1473 0.9977 0.8828 x1
O 0.1604 0.4989 0.5105 x1
O 0.1639 0.6928 0.0096 x1
O 0.1665 0.6754 0.6057 x1
O 0.1776 0.6628 0.7246 x1
O 0.1849 0.5222 0.2257 x1
O 0.2961 0.8465 0.3896 x1
O 0.2996 0.8621 0.2756 x1
O 0.3006 0.8436 0.6580 x1
O 0.3029 0.2086 0.8788 x1
O 0.3057 0.2070 0.1691 x1
O 0.3195 0.2496 0.7650 x1
O 0.3438 0.8362 0.9975 x1
O 0.3495 0.1841 0.4912 x1
O 0.3987 0.5812 0.9345 x1
O 0.4082 0.4168 0.4453 x1
O 0.4529 0.3674 0.8339 x1
O 0.4661 0.3324 0.5561 x1
O 0.4692 0.5775 0.3254 x1
O 0.4716 0.3783 0.1562 x1
O 0.4729 0.4990 0.6599 x1
O 0.4792 0.8322 0.4950 x1
O 0.4840 0.5415 0.0454 x1
O 0.4877 0.0334 0.9910 x1
O 0.4997 0.0107 0.3830 x1
O 0.5014 0.8543 0.1703 x1
O 0.5091 0.0124 0.2687 x1
O 0.5133 0.8439 0.8841 x1
O 0.5295 0.0067 0.6608 x1
O 0.5298 0.8047 0.7687 x1
O 0.6261 0.5505 0.5477 x1
O 0.6266 0.1591 0.0584 x1
O 0.6307 0.1692 0.3240 x1
O 0.6421 0.5508 0.8331 x1
O 0.6792 0.5670 0.4347 x1
O 0.6813 0.5116 0.1553 x1
O 0.6993 0.1181 0.9461 x1
O 0.7020 0.1590 0.6614 x1
O 0.7834 0.8448 0.3303 x1
O 0.7885 0.7186 0.1094 x1
O 0.7999 0.7201 0.8294 x1
O 0.8034 0.3933 0.6596 x1
O 0.8038 0.6875 0.5073 x1
O 0.8059 0.8623 0.0078 x1
O 0.8091 0.8786 0.6059 x1
O 0.8099 0.1733 0.1584 x1
O 0.8161 0.8811 0.7195 x1
O 0.8190 0.6505 0.2260 x1
O 0.8357 0.1892 0.5499 x1
O 0.8455 0.1699 0.8360 x1
O 0.8475 0.4101 0.9354 x1
O 0.8490 0.3223 0.0514 x1
O 0.8540 0.1166 0.4301 x1
O 0.8623 0.3324 0.3252 x1
O 0.9511 0.8868 0.2242 x1
O 0.9520 0.5125 0.7239 x1
O 0.9627 0.5260 0.6103 x1
O 0.9821 0.5226 0.0107 x1
O 0.9969 0.8551 0.5054 x1


Entry from Materials Project: crystalline Cr22Ni50Mo3 at its relaxed geometry (PBE).

Calculated values
DFT total energy (Ha/atom): -0.2625

abc: 6.1503 11.5476 11.9655
angles: 88.90 80.37 89.42
Space group P1 (No. 1)
One atom of each set of equivalent atoms:
Cr 0.0000 0.0000 0.0000 x1
Cr 0.0384 0.3617 0.8804 x1
Cr 0.0819 0.7217 0.7614 x1
Cr 0.1211 0.0800 0.6411 x1
Cr 0.1616 0.4413 0.5215 x1
Cr 0.1999 0.8012 0.4007 x1
Cr 0.2446 0.1569 0.2810 x1
Cr 0.2813 0.5214 0.1601 x1
Cr 0.3205 0.8805 0.0409 x1
Cr 0.3623 0.2396 0.9214 x1
Cr 0.4001 0.6021 0.8025 x1
Cr 0.4410 0.9602 0.6816 x1
Cr 0.5143 0.6849 0.4394 x1
Cr 0.5610 0.0395 0.3202 x1
Cr 0.5953 0.4040 0.1984 x1
Cr 0.6410 0.7614 0.0806 x1
Cr 0.6787 0.1202 0.9603 x1
Cr 0.7217 0.4810 0.8427 x1
Cr 0.7609 0.8414 0.7221 x1
Cr 0.8063 0.1965 0.6034 x1
Cr 0.8799 0.9207 0.3607 x1
Cr 0.9617 0.6419 0.1193 x1
Ni 0.0140 0.7881 0.9601 x1
Ni 0.0279 0.5748 0.9201 x1
Ni 0.0536 0.1471 0.8405 x1
Ni 0.0686 0.9339 0.8014 x1
Ni 0.0942 0.5076 0.7216 x1
Ni 0.1043 0.2931 0.6833 x1
Ni 0.1356 0.8677 0.6011 x1
Ni 0.1490 0.6569 0.5620 x1
Ni 0.1714 0.2246 0.4801 x1
Ni 0.1866 0.0127 0.4411 x1
Ni 0.2171 0.5890 0.3589 x1
Ni 0.2287 0.3754 0.3215 x1
Ni 0.2541 0.9462 0.2407 x1
Ni 0.2672 0.7349 0.2004 x1
Ni 0.2974 0.3076 0.1185 x1
Ni 0.3045 0.0938 0.0805 x1
Ni 0.3333 0.6682 0.0007 x1
Ni 0.3479 0.4542 0.9614 x1
Ni 0.3731 0.0270 0.8819 x1
Ni 0.3880 0.8141 0.8418 x1
Ni 0.4121 0.3880 0.7651 x1
Ni 0.4267 0.1718 0.7237 x1
Ni 0.4566 0.7488 0.6411 x1
Ni 0.4636 0.5371 0.6035 x1
Ni 0.4936 0.1042 0.5209 x1
Ni 0.5067 0.8943 0.4805 x1
Ni 0.5343 0.4688 0.3977 x1
Ni 0.5441 0.2524 0.3592 x1
Ni 0.5739 0.8284 0.2799 x1
Ni 0.5885 0.6167 0.2397 x1
Ni 0.6119 0.1851 0.1582 x1
Ni 0.6259 0.9740 0.1201 x1
Ni 0.6537 0.5487 0.0399 x1
Ni 0.6688 0.3340 0.0002 x1
Ni 0.6935 0.9078 0.9210 x1
Ni 0.7075 0.6947 0.8826 x1
Ni 0.7318 0.2665 0.8028 x1
Ni 0.7480 0.0530 0.7624 x1
Ni 0.7738 0.6287 0.6847 x1
Ni 0.7884 0.4140 0.6456 x1
Ni 0.8149 0.9864 0.5620 x1
Ni 0.8269 0.7772 0.5216 x1
Ni 0.8570 0.3456 0.4422 x1
Ni 0.8640 0.1308 0.4026 x1
Ni 0.8948 0.7105 0.3188 x1
Ni 0.9089 0.4967 0.2776 x1
Ni 0.9335 0.0641 0.1997 x1
Ni 0.9466 0.8545 0.1598 x1
Ni 0.9752 0.4292 0.0771 x1
Ni 0.9886 0.2131 0.0368 x1
Mo 0.4802 0.3206 0.5617 x1
Mo 0.8401 0.5620 0.4815 x1
Mo 0.9212 0.2799 0.2395 x1